(1)
# Na3LiMo2O14

Na3LiMo2O14 after structural relaxation (PBE+U, the Materials Project database).

- Space-group type: Cc (9)
- Raw total energy: -4.959 eV per atom
- Calculated formation energy: -0.92 eV/atom

Lattice parameters (Å, degrees): 8.229 8.229 11.183 111.55 111.55 60.68
Positions (direct):
Na 0.018 0.982 0.500
Na 0.294 0.475 0.998
Na 0.475 0.294 0.498
Na 0.519 0.795 0.998
Na 0.795 0.519 0.498
Na 0.982 0.018 0.000
Li 0.013 0.512 0.244
Li 0.512 0.013 0.744
Mo 0.166 0.670 0.713
Mo 0.393 0.891 0.383
Mo 0.670 0.166 0.213
Mo 0.891 0.393 0.883
O 0.027 0.331 0.340
O 0.052 0.284 0.604
O 0.079 0.777 0.108
O 0.103 0.328 0.831
O 0.192 0.824 0.331
O 0.228 0.726 0.891
O 0.244 0.789 0.652
O 0.270 0.535 0.347
O 0.278 0.415 0.647
O 0.284 0.052 0.104
O 0.328 0.103 0.331
O 0.331 0.027 0.840
O 0.415 0.278 0.147
O 0.450 0.950 0.555
O 0.535 0.270 0.847
O 0.541 0.580 0.108
O 0.580 0.541 0.608
O 0.607 0.693 0.332
O 0.693 0.607 0.832
O 0.726 0.228 0.391
O 0.748 0.910 0.152
O 0.771 0.838 0.844
O 0.777 0.079 0.608
O 0.789 0.244 0.152
O 0.824 0.192 0.831
O 0.838 0.771 0.344
O 0.910 0.748 0.652
O 0.950 0.450 0.055

---

(2)
# LiNd9Mo16O35

LiNd9Mo16O35 after structural relaxation (PBE+U, the Materials Project database).

- Space-group type: C2/m (12)
- Raw total energy: -7.454 eV per atom
- Calculated formation energy: -2.27 eV/atom

Lattice parameters (Å, degrees): 10.156 10.156 9.903 100.86 100.86 50.94
Positions (direct):
Li 0.000 0.000 0.000
Nd 0.073 0.618 0.798
Nd 0.298 0.298 0.466
Nd 0.308 0.308 0.067
Nd 0.382 0.927 0.202
Nd 0.500 0.500 0.000
Nd 0.618 0.073 0.798
Nd 0.692 0.692 0.933
Nd 0.702 0.702 0.534
Nd 0.927 0.382 0.202
Mo 0.010 0.010 0.356
Mo 0.046 0.730 0.449
Mo 0.062 0.738 0.171
Mo 0.211 0.211 0.745
Mo 0.262 0.938 0.829
Mo 0.270 0.954 0.551
Mo 0.314 0.683 0.356
Mo 0.317 0.686 0.644
Mo 0.683 0.314 0.356
Mo 0.686 0.317 0.644
Mo 0.730 0.046 0.449
Mo 0.738 0.062 0.171
Mo 0.789 0.789 0.255
Mo 0.938 0.262 0.829
Mo 0.954 0.270 0.551
Mo 0.990 0.990 0.644
O 0.052 0.384 0.888
O 0.066 0.393 0.607
O 0.102 0.102 0.987
O 0.127 0.127 0.398
O 0.144 0.817 0.798
O 0.183 0.856 0.202
O 0.206 0.560 0.595
O 0.222 0.542 0.307
O 0.223 0.575 0.020
O 0.231 0.231 0.232
O 0.325 0.325 0.811
O 0.384 0.052 0.888
O 0.393 0.066 0.607
O 0.425 0.777 0.980
O 0.440 0.794 0.405
O 0.458 0.778 0.693
O 0.494 0.494 0.767
O 0.500 0.500 0.500
O 0.506 0.506 0.233
O 0.542 0.222 0.307
O 0.560 0.206 0.595
O 0.575 0.223 0.020
O 0.607 0.934 0.393
O 0.616 0.948 0.112
O 0.675 0.675 0.189
O 0.769 0.769 0.768
O 0.777 0.425 0.980
O 0.778 0.458 0.693
O 0.794 0.440 0.405
O 0.817 0.144 0.798
O 0.856 0.183 0.202
O 0.873 0.873 0.602
O 0.898 0.898 0.013
O 0.934 0.607 0.393
O 0.948 0.616 0.112

---

(3)
# LiNd2TlMo4O16

LiNd2TlMo4O16 after structural relaxation (PBE+U, the Materials Project database).

- Space-group type: C2/c (15)
- Raw total energy: -7.119 eV per atom
- Calculated formation energy: -2.43 eV/atom

Lattice parameters (Å, degrees): 7.095 7.095 20.046 91.16 91.16 135.36
Positions (direct):
Li 0.186 0.814 0.750
Li 0.814 0.186 0.250
Nd 0.353 0.646 0.966
Nd 0.354 0.647 0.534
Nd 0.646 0.353 0.466
Nd 0.647 0.354 0.034
Tl 0.469 0.531 0.750
Tl 0.531 0.469 0.250
Mo 0.051 0.923 0.908
Mo 0.077 0.949 0.592
Mo 0.234 0.746 0.352
Mo 0.254 0.766 0.148
Mo 0.746 0.234 0.852
Mo 0.766 0.254 0.648
Mo 0.923 0.051 0.408
Mo 0.949 0.077 0.092
O 0.010 0.198 0.330
O 0.016 0.679 0.956
O 0.027 0.441 0.712
O 0.086 0.389 0.867
O 0.091 0.572 0.432
O 0.185 0.266 0.600
O 0.198 0.010 0.830
O 0.228 0.512 0.173
O 0.238 0.282 0.460
O 0.266 0.185 0.100
O 0.282 0.238 0.960
O 0.321 0.984 0.544
O 0.389 0.086 0.367
O 0.428 0.909 0.068
O 0.441 0.027 0.212
O 0.488 0.772 0.327
O 0.512 0.228 0.673
O 0.559 0.973 0.788
O 0.572 0.091 0.932
O 0.611 0.914 0.633
O 0.679 0.016 0.456
O 0.718 0.762 0.040
O 0.734 0.815 0.900
O 0.762 0.718 0.540
O 0.772 0.488 0.827
O 0.802 0.990 0.170
O 0.815 0.734 0.400
O 0.909 0.428 0.568
O 0.914 0.611 0.133
O 0.973 0.559 0.288
O 0.984 0.321 0.044
O 0.990 0.802 0.670

---

(4)
# Li2Ni2Mo3O12

Li2Ni2Mo3O12 after structural relaxation (PBE+U, the Materials Project database).

- Space-group type: Pnma (62)
- Raw total energy: -6.378 eV per atom
- Calculated formation energy: -1.94 eV/atom

Lattice parameters (Å, degrees): 5.147 10.580 17.872 90.00 90.00 90.00
Positions (direct):
Li 0.096 0.250 0.250
Li 0.235 0.250 0.690
Li 0.265 0.750 0.190
Li 0.404 0.750 0.750
Li 0.596 0.250 0.250
Li 0.735 0.250 0.810
Li 0.765 0.750 0.310
Li 0.904 0.750 0.750
Ni 0.247 0.072 0.527
Ni 0.247 0.428 0.527
Ni 0.253 0.572 0.027
Ni 0.253 0.928 0.027
Ni 0.747 0.072 0.973
Ni 0.747 0.428 0.973
Ni 0.753 0.572 0.473
Ni 0.753 0.928 0.473
Mo 0.218 0.750 0.555
Mo 0.219 0.026 0.845
Mo 0.219 0.474 0.845
Mo 0.281 0.526 0.345
Mo 0.281 0.974 0.345
Mo 0.282 0.250 0.055
Mo 0.718 0.750 0.945
Mo 0.719 0.026 0.655
Mo 0.719 0.474 0.655
Mo 0.781 0.526 0.155
Mo 0.781 0.974 0.155
Mo 0.782 0.250 0.445
O 0.068 0.250 0.507
O 0.070 0.612 0.125
O 0.070 0.888 0.125
O 0.079 0.012 0.428
O 0.079 0.488 0.428
O 0.080 0.113 0.035
O 0.080 0.387 0.035
O 0.082 0.623 0.288
O 0.082 0.877 0.288
O 0.143 0.750 0.651
O 0.148 0.616 0.796
O 0.148 0.884 0.796
O 0.352 0.116 0.296
O 0.352 0.384 0.296
O 0.357 0.250 0.151
O 0.418 0.123 0.788
O 0.418 0.377 0.788
O 0.420 0.613 0.535
O 0.420 0.887 0.535
O 0.421 0.512 0.928
O 0.421 0.988 0.928
O 0.430 0.112 0.625
O 0.430 0.388 0.625
O 0.432 0.750 0.007
O 0.568 0.250 0.993
O 0.570 0.612 0.375
O 0.570 0.888 0.375
O 0.579 0.012 0.072
O 0.579 0.488 0.072
O 0.580 0.113 0.465
O 0.580 0.387 0.465
O 0.582 0.623 0.212
O 0.582 0.877 0.212
O 0.643 0.750 0.849
O 0.648 0.616 0.704
O 0.648 0.884 0.704
O 0.852 0.116 0.204
O 0.852 0.384 0.204
O 0.857 0.250 0.349
O 0.918 0.123 0.712
O 0.918 0.377 0.712
O 0.920 0.613 0.965
O 0.920 0.887 0.965
O 0.921 0.512 0.572
O 0.921 0.988 0.572
O 0.930 0.112 0.875
O 0.930 0.388 0.875
O 0.932 0.750 0.493

---

(5)
# Li2MoO3

Li2MoO3 after structural relaxation (PBE+U, the Materials Project database).

- Space-group type: P-1 (2)
- Raw total energy: -6.177 eV per atom
- Calculated formation energy: -2.14 eV/atom

Lattice parameters (Å, degrees): 5.252 5.260 5.262 70.47 60.40 80.45
Positions (direct):
Li 0.000 0.000 0.000
Li 0.000 0.500 0.500
Li 0.315 0.491 0.850
Li 0.685 0.509 0.150
Mo 0.340 0.998 0.339
Mo 0.660 0.002 0.661
O 0.005 0.766 0.721
O 0.339 0.247 0.578
O 0.349 0.773 0.065
O 0.651 0.227 0.935
O 0.661 0.753 0.422
O 0.995 0.234 0.279

---

(6)
# Li21Mo11O32

Li21Mo11O32 after structural relaxation (PBE+U, the Materials Project database).

- Space-group type: C2/m (12)
- Raw total energy: -6.181 eV per atom
- Calculated formation energy: -2.11 eV/atom

Lattice parameters (Å, degrees): 11.879 11.879 5.259 97.83 97.83 61.91
Positions (direct):
Li 0.000 0.000 0.000
Li 0.114 0.886 0.500
Li 0.119 0.119 0.745
Li 0.122 0.636 0.253
Li 0.127 0.366 0.990
Li 0.237 0.763 0.000
Li 0.247 0.247 0.500
Li 0.357 0.643 0.500
Li 0.364 0.878 0.747
Li 0.366 0.127 0.990
Li 0.372 0.372 0.255
Li 0.628 0.628 0.745
Li 0.634 0.873 0.010
Li 0.636 0.122 0.253
Li 0.643 0.357 0.500
Li 0.753 0.753 0.500
Li 0.763 0.237 0.000
Li 0.873 0.634 0.010
Li 0.878 0.364 0.747
Li 0.881 0.881 0.255
Li 0.886 0.114 0.500
Mo 0.000 0.500 0.500
Mo 0.004 0.751 0.761
Mo 0.247 0.503 0.755
Mo 0.249 0.996 0.239
Mo 0.497 0.753 0.245
Mo 0.500 0.000 0.500
Mo 0.500 0.500 0.000
Mo 0.503 0.247 0.755
Mo 0.751 0.004 0.761
Mo 0.753 0.497 0.245
Mo 0.996 0.249 0.239
O 0.057 0.319 0.604
O 0.059 0.806 0.100
O 0.062 0.559 0.875
O 0.065 0.065 0.371
O 0.182 0.443 0.403
O 0.183 0.183 0.142
O 0.183 0.684 0.626
O 0.194 0.941 0.900
O 0.316 0.817 0.374
O 0.319 0.057 0.604
O 0.319 0.319 0.871
O 0.319 0.558 0.106
O 0.436 0.436 0.635
O 0.441 0.938 0.125
O 0.442 0.681 0.894
O 0.443 0.182 0.403
O 0.557 0.818 0.597
O 0.558 0.319 0.106
O 0.559 0.062 0.875
O 0.564 0.564 0.365
O 0.681 0.442 0.894
O 0.681 0.681 0.129
O 0.681 0.943 0.396
O 0.684 0.183 0.626
O 0.806 0.059 0.100
O 0.817 0.316 0.374
O 0.817 0.817 0.858
O 0.818 0.557 0.597
O 0.935 0.935 0.629
O 0.938 0.441 0.125
O 0.941 0.194 0.900
O 0.943 0.681 0.396

---

(7)
# Li12Mo5O17

Li12Mo5O17 after structural relaxation (PBE+U, the Materials Project database).

- Space-group type: P-1 (2)
- Raw total energy: -6.097 eV per atom
- Calculated formation energy: -2.17 eV/atom

Lattice parameters (Å, degrees): 6.657 9.291 11.630 101.21 96.51 107.15
Positions (direct):
Li 0.014 0.155 0.077
Li 0.047 0.660 0.578
Li 0.097 0.487 0.221
Li 0.102 0.973 0.726
Li 0.169 0.805 0.371
Li 0.224 0.640 0.012
Li 0.294 0.770 0.817
Li 0.353 0.612 0.445
Li 0.380 0.106 0.961
Li 0.428 0.923 0.596
Li 0.444 0.434 0.103
Li 0.480 0.737 0.249
Li 0.520 0.263 0.751
Li 0.556 0.566 0.897
Li 0.572 0.077 0.404
Li 0.620 0.894 0.039
Li 0.647 0.388 0.555
Li 0.706 0.230 0.183
Li 0.776 0.360 0.988
Li 0.831 0.195 0.629
Li 0.898 0.027 0.274
Li 0.903 0.513 0.779
Li 0.953 0.340 0.422
Li 0.986 0.845 0.923
Mo 0.156 0.313 0.881
Mo 0.220 0.132 0.517
Mo 0.253 0.454 0.660
Mo 0.288 0.956 0.160
Mo 0.313 0.284 0.304
Mo 0.687 0.716 0.696
Mo 0.712 0.044 0.840
Mo 0.747 0.546 0.340
Mo 0.780 0.868 0.483
Mo 0.844 0.687 0.119
O 0.009 0.252 0.251
O 0.043 0.083 0.890
O 0.047 0.578 0.395
O 0.112 0.913 0.541
O 0.117 0.394 0.032
O 0.170 0.736 0.186
O 0.186 0.233 0.696
O 0.232 0.528 0.841
O 0.240 0.051 0.334
O 0.281 0.354 0.481
O 0.293 0.876 0.994
O 0.343 0.179 0.137
O 0.360 0.674 0.636
O 0.417 0.512 0.280
O 0.432 0.012 0.778
O 0.448 0.328 0.920
O 0.481 0.837 0.429
O 0.519 0.163 0.571
O 0.552 0.672 0.080
O 0.568 0.988 0.222
O 0.583 0.488 0.720
O 0.640 0.326 0.364
O 0.657 0.821 0.863
O 0.707 0.124 0.006
O 0.719 0.646 0.519
O 0.760 0.949 0.666
O 0.768 0.472 0.159
O 0.814 0.767 0.304
O 0.830 0.264 0.814
O 0.883 0.606 0.968
O 0.888 0.087 0.459
O 0.953 0.422 0.605
O 0.957 0.917 0.110
O 0.991 0.748 0.749

---

(8)
# LiMo2O4

LiMo2O4 after structural relaxation (PBE+U, the Materials Project database).

- Space-group type: C2/c (15)
- Raw total energy: -6.879 eV per atom
- Calculated formation energy: -1.99 eV/atom

Lattice parameters (Å, degrees): 6.301 6.301 6.343 119.32 119.32 90.27
Positions (direct):
Li 0.131 0.869 0.750
Li 0.869 0.131 0.250
Mo 0.000 0.500 0.000
Mo 0.500 0.000 0.500
Mo 0.500 0.500 0.000
Mo 0.500 0.500 0.500
O 0.263 0.727 0.476
O 0.271 0.286 0.024
O 0.273 0.737 0.024
O 0.286 0.271 0.524
O 0.714 0.729 0.476
O 0.727 0.263 0.976
O 0.729 0.714 0.976
O 0.737 0.273 0.524